(1)
Compound: GdCdPd2
Source: the Materials Project
Functional: GGA-PBE
Structure: relaxed Values from VASP.

```
&SYSTEM
  ibrav = 0, nat = 4, ntyp = 3
/
ATOMIC_SPECIES
Gd 157.25 Gd.upf
Cd 112.41 Cd.upf
Pd 106.42 Pd.upf
CELL_PARAMETERS angstrom
0.941 -3.978 -2.583
-3.083 -1.436 -3.437
1.229 0.379 -4.662
ATOMIC_POSITIONS crystal
Gd 0.000 0.000 0.000
Cd 0.500 0.500 0.500
Pd 0.250 0.250 0.250
Pd 0.750 0.750 0.750
```

Electronic total energy: -7.00 eV/atom

(2)
Compound: K4MgV2Cu2S8
Source: the Materials Project
Functional: GGA-PBE
Structure: relaxed Values from VASP.

```
&SYSTEM
  ibrav = 0, nat = 17, ntyp = 5
/
ATOMIC_SPECIES
K 39.10 K.upf
Mg 24.30 Mg.upf
V 50.94 V.upf
Cu 63.55 Cu.upf
S 32.06 S.upf
CELL_PARAMETERS angstrom
5.430 0.095 1.301
2.821 6.597 0.676
0.025 0.047 11.882
ATOMIC_POSITIONS crystal
K 0.448 0.750 0.103
K 0.177 0.250 0.647
K 0.807 0.750 0.387
K 0.552 0.250 0.897
Mg 0.752 0.250 0.497
V 0.377 0.250 0.247
V 0.627 0.750 0.746
Cu 0.129 0.750 0.743
Cu 0.879 0.250 0.243
S 0.091 0.450 0.143
S 0.912 0.562 0.854
S 0.235 0.938 0.854
S 0.565 0.542 0.634
S 0.182 0.063 0.368
S 0.451 0.437 0.368
S 0.766 0.051 0.143
S 0.802 0.957 0.634
```

MP2020-corrected energy: -85.8 eV per formula unit

(3)
Compound: Pr2Co5Cu5
Source: the Materials Project
Functional: GGA-PBE
Structure: relaxed Values from VASP.

```
&SYSTEM
  ibrav = 0, nat = 12, ntyp = 3
/
ATOMIC_SPECIES
Pr 140.91 Pr.upf
Co 58.93 Co.upf
Cu 63.55 Cu.upf
CELL_PARAMETERS angstrom
0.000 4.039 0.370
-2.678 0.397 -4.339
-7.377 -0.414 4.515
ATOMIC_POSITIONS crystal
Pr 0.000 0.500 0.000
Pr 0.000 0.000 0.500
Co 0.000 0.500 0.338
Co 0.000 0.000 0.850
Co 0.000 0.000 0.150
Co 0.000 0.500 0.662
Co 0.500 0.000 0.000
Cu 0.500 0.500 0.500
Cu 0.500 0.750 0.248
Cu 0.500 0.250 0.752
Cu 0.500 0.250 0.248
Cu 0.500 0.750 0.752
```

Electronic total energy: -5.47 eV/atom

(4)
Compound: SiO2
Source: the Materials Project
Functional: GGA-PBE
Structure: relaxed Values from VASP.

```
&SYSTEM
  ibrav = 0, nat = 9, ntyp = 2
/
ATOMIC_SPECIES
Si 28.09 Si.upf
O 16.00 O.upf
CELL_PARAMETERS angstrom
-4.266 -1.031 2.440
4.178 -2.582 1.046
1.318 3.698 3.867
ATOMIC_POSITIONS crystal
Si 0.524 0.524 0.000
Si 0.000 0.476 0.667
Si 0.476 0.000 0.333
O 0.256 0.415 0.795
O 0.585 0.841 0.128
O 0.159 0.744 0.461
O 0.415 0.256 0.205
O 0.744 0.159 0.539
O 0.841 0.585 0.872
```

Maximum piezoelectric response: 0.2 C/m2
MP2020-corrected energy: -25.1 eV per formula unit

(5)
Compound: KNp2Se6
Source: the Materials Project
Functional: GGA-PBE
Structure: relaxed Values from VASP.

```
&SYSTEM
  ibrav = 0, nat = 9, ntyp = 3
/
ATOMIC_SPECIES
K 39.10 K.upf
Np 237.00 Np.upf
Se 78.96 Se.upf
CELL_PARAMETERS angstrom
-2.059 2.757 10.893
2.059 -2.757 10.893
2.059 2.757 -10.893
ATOMIC_POSITIONS crystal
K 0.000 0.000 0.000
Np 0.681 0.181 0.500
Np 0.319 0.819 0.500
Se 0.774 0.774 0.000
Se 0.226 0.226 0.000
Se 0.846 0.606 0.240
Se 0.154 0.394 0.760
Se 0.634 0.394 0.240
Se 0.366 0.606 0.760
```

MP2020-corrected energy: -60.1 eV per formula unit

(6)
Compound: KTmO3
Source: the Materials Project
Functional: GGA-PBE
Structure: relaxed Values from VASP.

```
&SYSTEM
  ibrav = 0, nat = 5, ntyp = 3
/
ATOMIC_SPECIES
K 39.10 K.upf
Tm 168.93 Tm.upf
O 16.00 O.upf
CELL_PARAMETERS angstrom
-3.549 1.986 -1.711
-0.499 -3.339 -2.841
-2.573 -2.092 2.911
ATOMIC_POSITIONS crystal
K 0.000 0.000 0.000
Tm 0.500 0.500 0.500
O 0.500 0.500 0.000
O 0.500 0.000 0.500
O 0.000 0.500 0.500
```

MP2020-corrected energy: -32.2 eV per formula unit

(7)
Compound: Sm3Si2Ni6
Source: the Materials Project
Functional: GGA-PBE
Structure: relaxed Values from VASP.

```
&SYSTEM
  ibrav = 0, nat = 22, ntyp = 3
/
ATOMIC_SPECIES
Sm 150.36 Sm.upf
Si 28.09 Si.upf
Ni 58.69 Ni.upf
CELL_PARAMETERS angstrom
7.271 -2.263 -0.991
-0.735 3.309 6.891
-4.657 -6.091 -0.424
ATOMIC_POSITIONS crystal
Sm 0.715 0.715 0.000
Sm 0.285 0.000 0.285
Sm 0.000 0.285 0.285
Sm 0.285 0.285 0.000
Sm 0.715 0.000 0.715
Sm 0.000 0.715 0.715
Si 0.000 0.000 0.500
Si 0.000 0.500 0.000
Si 0.500 0.000 0.000
Si 0.500 0.500 0.500
Ni 0.331 0.331 0.662
Ni 0.669 0.000 0.331
Ni 0.000 0.669 0.331
Ni 0.669 0.331 0.000
Ni 0.331 0.662 0.331
Ni 0.000 0.331 0.669
Ni 0.331 0.669 0.000
Ni 0.331 0.000 0.669
Ni 0.662 0.331 0.331
Ni 0.669 0.669 0.338
Ni 0.669 0.338 0.669
Ni 0.338 0.669 0.669
```

Electronic total energy: -6.01 eV/atom

(8)
Compound: Sc3Al
Source: the Materials Project
Functional: GGA-PBE
Structure: relaxed Values from VASP.

```
&SYSTEM
  ibrav = 0, nat = 8, ntyp = 2
/
ATOMIC_SPECIES
Sc 44.96 Sc.upf
Al 26.98 Al.upf
CELL_PARAMETERS angstrom
1.288 2.312 5.733
-5.773 -2.209 -1.290
1.416 -4.595 1.535
ATOMIC_POSITIONS crystal
Sc 0.829 0.171 0.750
Sc 0.343 0.171 0.750
Sc 0.829 0.657 0.750
Sc 0.171 0.829 0.250
Sc 0.657 0.829 0.250
Sc 0.171 0.343 0.250
Al 0.667 0.333 0.250
Al 0.333 0.667 0.750
```

Electronic total energy: -5.95 eV/atom

(9)
Compound: Ac2S3
Source: the Materials Project
Functional: GGA-PBE
Structure: relaxed Values from VASP.

```
&SYSTEM
  ibrav = 0, nat = 40, ntyp = 2
/
ATOMIC_SPECIES
Ac 227.00 Ac.upf
S 32.06 S.upf
CELL_PARAMETERS angstrom
4.445 -6.547 12.720
-5.570 1.405 13.836
-3.443 -2.318 -14.394
ATOMIC_POSITIONS crystal
Ac 0.855 0.952 0.384
Ac 0.164 0.164 0.000
Ac 0.875 0.504 0.129
Ac 0.181 0.298 0.403
Ac 0.586 0.086 0.500
Ac 0.895 0.779 0.597
Ac 0.375 0.746 0.871
Ac 0.221 0.819 0.116
Ac 0.914 0.414 0.500
Ac 0.496 0.625 0.371
Ac 0.702 0.105 0.884
Ac 0.254 0.125 0.629
Ac 0.836 0.836 0.000
Ac 0.529 0.145 0.097
Ac 0.048 0.431 0.903
Ac 0.569 0.471 0.616
S 0.507 0.112 0.253
S 0.071 0.827 0.610
S 0.859 0.254 0.747
S 0.891 0.138 0.894
S 0.243 0.996 0.106
S 0.217 0.462 0.390
S 0.852 0.435 0.254
S 0.533 0.423 0.744
S 0.401 0.148 0.583
S 0.181 0.599 0.746
S 0.679 0.788 0.256
S 0.212 0.467 0.890
S 0.577 0.321 0.110
S 0.565 0.819 0.417
S 0.173 0.783 0.244
S 0.862 0.757 0.753
S 0.746 0.493 0.606
S 0.538 0.929 0.756
S 0.004 0.109 0.247
S 0.569 0.815 0.917
S 0.898 0.651 0.083
S 0.888 0.141 0.394
S 0.185 0.102 0.754
S 0.349 0.431 0.246
```

Energy above the lowest structure with this stoichiometry: 0.000 eV per atom
MP2020-corrected energy: -33.0 eV per formula unit

(10)
Compound: La2Ti2O7
Source: the Materials Project
Functional: GGA-PBE
Structure: relaxed Values from VASP.

```
&SYSTEM
  ibrav = 0, nat = 44, ntyp = 3
/
ATOMIC_SPECIES
La 138.91 La.upf
Ti 47.87 Ti.upf
O 16.00 O.upf
CELL_PARAMETERS angstrom
-1.896 4.261 -3.096
-4.869 2.027 5.770
7.999 8.280 6.497
ATOMIC_POSITIONS crystal
La 0.351 0.853 0.579
La 0.851 0.147 0.421
La 0.306 0.351 0.611
La 0.262 0.227 0.096
La 0.255 0.720 0.116
La 0.806 0.649 0.389
La 0.755 0.280 0.884
La 0.762 0.773 0.904
Ti 0.801 0.583 0.675
Ti 0.768 0.968 0.119
Ti 0.266 0.527 0.879
Ti 0.795 0.076 0.678
Ti 0.268 0.032 0.881
Ti 0.766 0.473 0.121
Ti 0.301 0.417 0.325
Ti 0.295 0.924 0.322
O 0.575 0.122 0.570
O 0.075 0.878 0.430
O 0.713 0.826 0.695
O 0.952 0.028 0.815
O 0.086 0.404 0.439
O 0.184 0.273 0.909
O 0.462 0.107 0.773
O 0.057 0.086 0.593
O 0.523 0.473 0.979
O 0.023 0.527 0.021
O 0.074 0.617 0.604
O 0.452 0.972 0.185
O 0.330 0.672 0.308
O 0.522 0.037 0.981
O 0.948 0.563 0.816
O 0.684 0.727 0.091
O 0.962 0.893 0.227
O 0.574 0.383 0.396
O 0.805 0.223 0.108
O 0.955 0.493 0.230
O 0.022 0.963 0.019
O 0.830 0.328 0.692
O 0.448 0.437 0.184
O 0.557 0.914 0.407
O 0.586 0.596 0.561
O 0.305 0.777 0.892
O 0.213 0.174 0.305
O 0.455 0.507 0.770
```

MP2020-corrected energy: -101.9 eV per formula unit

(11)
Compound: H3S
Source: the Materials Project
Functional: GGA-PBE
Structure: relaxed Values from VASP.

```
&SYSTEM
  ibrav = 0, nat = 4, ntyp = 2
/
ATOMIC_SPECIES
H 1.01 H.upf
S 32.06 S.upf
CELL_PARAMETERS angstrom
-3.342 -0.095 0.923
0.946 -3.105 -1.223
1.937 0.787 2.767
ATOMIC_POSITIONS crystal
H 0.273 0.273 0.625
H 0.273 0.625 0.273
H 0.625 0.273 0.273
S 0.643 0.643 0.643
```

MP2020-corrected energy: -13.1 eV per formula unit

(12)
Compound: BaYF5
Source: the Materials Project
Functional: GGA-PBE
Structure: relaxed Values from VASP.

```
&SYSTEM
  ibrav = 0, nat = 56, ntyp = 3
/
ATOMIC_SPECIES
Ba 137.33 Ba.upf
Y 88.91 Y.upf
F 19.00 F.upf
CELL_PARAMETERS angstrom
20.471 0.000 0.000
0.000 6.083 0.000
0.000 5.218 7.985
ATOMIC_POSITIONS crystal
Ba 0.550 0.376 0.765
Ba 0.276 0.808 0.468
Ba 0.050 0.624 0.735
Ba 0.776 0.192 0.032
Ba 0.224 0.808 0.968
Ba 0.950 0.376 0.265
Ba 0.724 0.192 0.532
Ba 0.450 0.624 0.235
Y 0.370 0.304 0.973
Y 0.870 0.696 0.527
Y 0.099 0.057 0.151
Y 0.599 0.943 0.349
Y 0.401 0.057 0.651
Y 0.901 0.943 0.849
Y 0.130 0.304 0.473
Y 0.630 0.696 0.027
F 0.117 0.131 0.904
F 0.366 0.464 0.518
F 0.156 0.561 0.555
F 0.925 0.368 0.745
F 0.586 0.935 0.121
F 0.341 0.921 0.186
F 0.284 0.311 0.835
F 0.200 0.902 0.209
F 0.968 0.796 0.423
F 0.505 0.762 0.440
F 0.784 0.689 0.665
F 0.005 0.238 0.060
F 0.468 0.204 0.077
F 0.700 0.098 0.291
F 0.425 0.632 0.755
F 0.656 0.439 0.945
F 0.841 0.079 0.314
F 0.086 0.065 0.379
F 0.866 0.536 0.982
F 0.617 0.869 0.596
F 0.383 0.131 0.404
F 0.134 0.464 0.018
F 0.914 0.935 0.621
F 0.159 0.921 0.686
F 0.344 0.561 0.055
F 0.575 0.368 0.245
F 0.300 0.902 0.709
F 0.532 0.796 0.923
F 0.995 0.762 0.940
F 0.216 0.311 0.335
F 0.495 0.238 0.560
F 0.032 0.204 0.577
F 0.800 0.098 0.791
F 0.716 0.689 0.165
F 0.659 0.079 0.814
F 0.414 0.065 0.879
F 0.075 0.632 0.255
F 0.844 0.439 0.445
F 0.634 0.536 0.482
F 0.883 0.869 0.096
```

Energy above the lowest structure with this stoichiometry: 0.097 eV per atom
MP2020-corrected energy: -47.7 eV per formula unit

no.,volume (Å³/atom)
1,19.990
2,24.838
3,14.971
4,13.371
5,27.483
6,17.181
7,15.845
8,21.790
9,27.880
10,13.001
11,8.051
12,17.754